Model one:
PBE-GGA Si3N4, optimized geometry; crystal system = trigonal; piezoelectric modulus e_max = 0.14 C/m2
1.0
-6.3177 2.3016 -3.9715
4.8201 -5.3203 -3.0732
-3.0225 -4.1323 2.4133
Si N
12 16
direct
0.9176 0.4879 0.6608
0.9139 0.1673 0.9526
0.2534 0.0861 0.9526
0.4296 0.5121 0.1608
0.0861 0.2534 0.4526
0.4879 0.9176 0.1608
0.5704 0.0824 0.6608
0.1673 0.9139 0.4526
0.0824 0.5704 0.1608
0.5121 0.4296 0.6608
0.8327 0.7466 0.9526
0.7466 0.8327 0.4526
0.0000 0.0000 0.4533
0.6100 0.9546 0.4336
0.3145 0.9957 0.1986
0.0454 0.6555 0.4336
0.6667 0.3333 0.6052
0.3445 0.3900 0.4336
0.0000 0.0000 0.9533
0.6555 0.0454 0.9336
0.0043 0.3189 0.1986
0.3900 0.3445 0.9336
0.6855 0.6811 0.6986
0.3333 0.6667 0.1052
0.9546 0.6100 0.9336
0.9957 0.3145 0.6986
0.6811 0.6855 0.1986
0.3189 0.0043 0.6986

Model two:
PBE-GGA Si3N4, optimized geometry; crystal system = hexagonal; total magnetization = 0.0 Bohr magnetons per cell
1.0
6.2630 -10.8479 0.0000
6.2630 10.8479 0.0000
0.0000 0.0000 8.0914
N Si
24 18
direct
0.7531 0.8518 0.5701
0.0986 0.2469 0.5701
0.2469 0.1482 0.4299
0.1039 0.9594 0.2500
0.7531 0.8518 0.9299
0.0406 0.1445 0.2500
0.0185 0.3343 0.2500
0.1445 0.1039 0.7500
0.0986 0.2469 0.9299
0.8518 0.0986 0.4299
0.9014 0.7531 0.4299
0.9014 0.7531 0.0701
0.9594 0.8555 0.7500
0.1482 0.9014 0.9299
0.3159 0.9815 0.2500
0.3343 0.3159 0.7500
0.1482 0.9014 0.5701
0.8961 0.0406 0.7500
0.9815 0.6657 0.7500
0.8555 0.8961 0.2500
0.8518 0.0986 0.0701
0.2469 0.1482 0.0701
0.6657 0.6841 0.2500
0.6841 0.0185 0.7500
0.9895 0.7616 0.5979
0.2384 0.2279 0.9021
0.2279 0.9895 0.0979
0.7721 0.0105 0.5979
0.7721 0.0105 0.9021
0.0105 0.2384 0.0979
0.1228 0.9594 0.7500
0.2279 0.9895 0.4021
0.0406 0.1635 0.7500
0.2384 0.2279 0.5979
0.1635 0.1228 0.2500
0.0105 0.2384 0.4021
0.8772 0.0406 0.2500
0.9594 0.8365 0.2500
0.8365 0.8772 0.7500
0.9895 0.7616 0.9021
0.7616 0.7721 0.0979
0.7616 0.7721 0.4021

Model three:
PBE-GGA Si3N4, optimized geometry; crystal system = hexagonal; total magnetization = 0.0 Bohr magnetons per cell
1.0
2.4577 5.3779 1.8851
-5.6838 -1.6409 1.8756
1.5714 -1.8271 3.1636
N Si
8 6
direct
0.3140 0.1570 0.2500
0.6667 0.3333 0.7500
0.8430 0.6859 0.2500
0.3333 0.6667 0.2500
0.6859 0.8430 0.7500
0.8430 0.1570 0.2500
0.1570 0.3140 0.7500
0.1570 0.8430 0.7500
0.8292 0.1708 0.7500
0.3416 0.1708 0.7500
0.1708 0.3416 0.2500
0.8292 0.6584 0.7500
0.6584 0.8292 0.2500
0.1708 0.8292 0.2500

Model four:
PBE-GGA Si3N4, optimized geometry; crystal system = trigonal; total magnetization = 4.0 Bohr magnetons per cell
1.0
5.7077 1.2803 5.0247
-7.3443 0.5469 2.2861
0.0196 -5.4645 1.3701
N Si
16 12
direct
0.3698 0.3502 0.9278
0.0195 0.6498 0.4278
0.6692 0.6965 0.1918
0.9805 0.6302 0.9278
0.6302 0.9805 0.4278
0.0000 0.0000 0.4570
0.0000 0.0000 0.9570
0.3502 0.3698 0.4278
0.6667 0.3333 0.1093
0.0273 0.3308 0.1918
0.9727 0.3035 0.6918
0.6965 0.6692 0.6918
0.3308 0.0273 0.6918
0.6498 0.0195 0.9278
0.3035 0.9727 0.1918
0.3333 0.6667 0.6093
0.9102 0.1649 0.9562
0.1649 0.9102 0.4562
0.0898 0.2548 0.4562
0.7452 0.8351 0.4562
0.0978 0.5836 0.1673
0.9022 0.4858 0.6673
0.4858 0.9022 0.1673
0.4164 0.5142 0.1673
0.2548 0.0898 0.9562
0.8351 0.7452 0.9562
0.5836 0.0978 0.6673
0.5142 0.4164 0.6673

Stability summary: most stable model one, least stable model four.

Model one:
PBE-GGA Si3N4, optimized geometry; crystal system = cubic; piezoelectric modulus e_max = 0.02 C/m2; total magnetization = 0.0 Bohr magnetons per cell
1.0
-3.2441 3.2441 3.2441
3.2441 -3.2441 3.2441
3.2441 3.2441 -3.2441
Si N
6 8
direct
0.1250 0.7500 0.8750
0.3750 0.2500 0.6250
0.6250 0.3750 0.2500
0.8750 0.1250 0.7500
0.7500 0.8750 0.1250
0.2500 0.6250 0.3750
0.5000 0.0000 0.0628
0.0000 0.5628 0.5000
0.4372 0.4372 0.4372
0.5000 0.0000 0.5628
0.0628 0.5000 0.0000
0.0000 0.0628 0.5000
0.5628 0.5000 0.0000
0.9372 0.9372 0.9372

Model two:
PBE-GGA Si3N4, optimized geometry; crystal system = triclinic; total magnetization = 0.0 Bohr magnetons per cell
1.0
-7.1256 -4.2590 -6.0313
-5.4164 -2.5969 8.2340
-5.4793 9.6989 -0.1906
Si N
45 60
direct
0.5624 0.1763 0.1931
0.8182 0.7474 0.0089
0.6266 0.4900 0.4674
0.8875 0.8006 0.4727
0.6007 0.4589 0.1978
0.6181 0.5806 0.8405
0.3759 0.1836 0.9849
0.7174 0.1148 0.7987
0.5978 0.0067 0.6424
0.0200 0.2958 0.5694
0.0971 0.7054 0.5622
0.5785 0.7285 0.6080
0.0164 0.5141 0.1235
0.6707 0.7229 0.3287
0.8334 0.2948 0.1323
0.0101 0.4025 0.8150
0.2494 0.9201 0.8961
0.8617 0.0468 0.5696
0.7539 0.2823 0.3939
0.5037 0.6692 0.0988
0.6303 0.3251 0.9594
0.3819 0.4305 0.8051
0.3975 0.3677 0.3577
0.8957 0.6489 0.7525
0.7415 0.8851 0.8127
0.0059 0.2139 0.3574
0.1321 0.9383 0.6721
0.6437 0.9928 0.3973
0.4292 0.8966 0.2465
0.1683 0.6268 0.9108
0.4851 0.9436 0.8825
0.1447 0.8974 0.3377
0.9522 0.7144 0.2259
0.1968 0.1909 0.7825
0.3549 0.7074 0.7383
0.7650 0.3810 0.7017
0.2354 0.1493 0.5091
0.2886 0.1549 0.2592
0.3712 0.8961 0.5027
0.1354 0.4932 0.3683
0.2122 0.7473 0.1096
0.8806 0.0308 0.0798
0.3448 0.5520 0.5458
0.3064 0.4440 0.1341
0.0858 0.2359 0.0324
0.0888 0.2755 0.8765
0.2668 0.4464 0.2831
0.7374 0.2761 0.8383
0.3094 0.5833 0.8500
0.5242 0.6478 0.7331
0.9303 0.6871 0.6003
0.5867 0.8718 0.3018
0.6484 0.6611 0.4811
0.6881 0.4301 0.3373
0.9812 0.3614 0.0730
0.8786 0.2762 0.2802
0.4566 0.4841 0.4492
0.8414 0.8743 0.0973
0.3806 0.7806 0.1384
0.5510 0.0600 0.7848
0.1703 0.0259 0.8015
0.7658 0.1462 0.0975
0.2549 0.2577 0.1002
0.8540 0.7676 0.8547
0.1607 0.2251 0.6294
0.7303 0.1127 0.6423
0.3121 0.8809 0.3579
0.4239 0.0644 0.2147
0.4490 0.5133 0.0908
0.7652 0.5371 0.7711
0.0814 0.3457 0.4311
0.0325 0.0861 0.0660
0.3732 0.8478 0.8166
0.1877 0.5863 0.4885
0.3358 0.2648 0.8488
0.7929 0.9441 0.4633
0.3405 0.4484 0.6609
0.0242 0.5583 0.2712
0.1780 0.5614 0.0687
0.1039 0.8089 0.2117
0.5312 0.2104 0.0311
0.4874 0.3252 0.2363
0.1677 0.7878 0.9636
0.6209 0.8486 0.9244
0.6679 0.8538 0.6719
0.4038 0.7393 0.5707
0.3623 0.0157 0.9720
0.6087 0.6319 0.2155
0.5177 0.9840 0.5095
0.6288 0.7091 0.9729
0.9371 0.3679 0.6823
0.1775 0.7673 0.6858
0.9760 0.9706 0.6461
0.2564 0.9949 0.5682
0.1334 0.0882 0.3314
0.9080 0.6362 0.0901
0.6530 0.1495 0.3389
0.0554 0.8246 0.4491
0.5393 0.4367 0.8734
0.3345 0.2173 0.4027
0.0283 0.5646 0.8348
0.7046 0.3735 0.5568
0.7059 0.3993 0.0859
0.9121 0.1886 0.4901
0.8380 0.7380 0.3346

Stability summary: most stable model one, least stable model two.

Model one:
PBE-GGA SiSnN2, optimized geometry; crystal system = orthorhombic; total magnetization = 0.0 Bohr magnetons per cell
1.0
0.0454 4.8248 1.2128
-4.3617 2.8463 -0.9557
-2.8455 1.5380 4.1925
Sn N Si
2 4 2
direct
0.4197 0.6303 0.6303
0.1802 0.3697 0.3697
0.6268 0.0000 0.5000
0.2538 0.0904 0.0904
0.6268 0.5000 0.0000
0.9347 0.9096 0.9096
0.6192 0.8798 0.8798
0.8788 0.1202 0.1202

Model two:
PBE-GGA SiSnN2, optimized geometry; crystal system = orthorhombic; total magnetization = 0.0 Bohr magnetons per cell
1.0
5.0567 0.0000 0.0000
0.0000 11.0999 0.0000
0.0000 0.0000 15.1698
Si N Sn
16 32 16
direct
0.7847 0.0119 0.6878
0.3164 0.2507 0.9384
0.1836 0.7492 0.4384
0.6836 0.7492 0.0616
0.7153 0.5119 0.6878
0.8164 0.2507 0.5616
0.2847 0.4881 0.3122
0.7153 0.9881 0.1878
0.6836 0.7508 0.5616
0.7847 0.4881 0.1878
0.2153 0.9881 0.3122
0.8164 0.2492 0.0616
0.3164 0.2492 0.4384
0.2153 0.5119 0.8122
0.2847 0.0119 0.8122
0.1836 0.7508 0.9384
0.8330 0.6296 0.6198
0.3436 0.7287 0.5425
0.2425 0.1249 0.3717
0.1217 0.4811 0.2104
0.8783 0.9811 0.2896
0.6670 0.3704 0.1198
0.7425 0.3751 0.6283
0.1670 0.1296 0.8802
0.7575 0.8751 0.6283
0.6670 0.1296 0.6198
0.6564 0.2713 0.4575
0.1564 0.2713 0.0425
0.6217 0.0189 0.7896
0.3330 0.8704 0.3802
0.6217 0.4811 0.2896
0.3436 0.7713 0.0425
0.8783 0.5189 0.7896
0.1217 0.0189 0.7104
0.8436 0.7713 0.4575
0.7425 0.1249 0.1283
0.2575 0.8751 0.8717
0.3783 0.5189 0.7104
0.7575 0.6249 0.1283
0.8330 0.8704 0.1198
0.8436 0.7287 0.9575
0.3330 0.6296 0.8802
0.2425 0.3751 0.8717
0.1670 0.3704 0.3802
0.2575 0.6249 0.3717
0.6564 0.2287 0.9575
0.3783 0.9811 0.2104
0.1564 0.2287 0.5425
0.7835 0.0328 0.9314
0.7165 0.5328 0.9314
0.6153 0.7763 0.8155
0.7835 0.4672 0.4314
0.2165 0.5328 0.5686
0.3847 0.2763 0.6845
0.7165 0.9672 0.4314
0.2165 0.9672 0.0686
0.1153 0.7763 0.6845
0.8847 0.2237 0.3155
0.2835 0.0328 0.5686
0.6153 0.7237 0.3155
0.1153 0.7237 0.1845
0.8847 0.2763 0.8155
0.2835 0.4672 0.0686
0.3847 0.2237 0.1845

Stability summary: most stable model one, least stable model two.

Model one:
PBE-GGA Sr4SnN4, optimized geometry; crystal system = triclinic; total magnetization = 0.0 Bohr magnetons per cell
1.0
6.4723 0.0245 -0.0103
2.4354 6.0631 -0.0052
1.7743 2.6116 9.1072
Sn N Sr
2 8 8
direct
0.2849 0.1517 0.2433
0.7151 0.8483 0.7567
0.9797 0.7002 0.6085
0.5137 0.6299 0.8057
0.1077 0.1673 0.0738
0.5065 0.1792 0.6329
0.0203 0.2998 0.3916
0.4863 0.3701 0.1943
0.8923 0.8327 0.9262
0.4935 0.8208 0.3671
0.2710 0.5116 0.4305
0.2584 0.7698 0.0187
0.7290 0.4884 0.5695
0.7706 0.5772 0.1761
0.2294 0.4228 0.8239
0.7416 0.2302 0.9813
0.7678 0.0433 0.3938
0.2322 0.9567 0.6062

Model two:
PBE-GGA Sr4SnN4, optimized geometry; crystal system = orthorhombic; total magnetization = 3.3 Bohr magnetons per cell
1.0
-5.7075 -0.0013 11.7882
2.9393 -2.0152 1.4229
8.1128 14.6082 3.9296
Sn N Sr
4 16 16
direct
0.6830 0.2500 0.0753
0.3170 0.7500 0.9247
0.8170 0.7500 0.5753
0.1830 0.2500 0.4247
0.0551 0.7500 0.1379
0.4915 0.7500 0.4220
0.9915 0.7500 0.0780
0.2067 0.7500 0.7055
0.6158 0.7500 0.8200
0.3842 0.2500 0.1800
0.8842 0.2500 0.3200
0.0085 0.2500 0.9220
0.2933 0.2500 0.2055
0.7933 0.2500 0.2945
0.5085 0.2500 0.5780
0.1158 0.7500 0.6800
0.9449 0.2500 0.8621
0.7067 0.7500 0.7945
0.4449 0.2500 0.6379
0.5551 0.7500 0.3621
0.5491 0.2500 0.9028
0.3266 0.2500 0.7463
0.6254 0.2500 0.4671
0.6734 0.7500 0.2537
0.5837 0.7500 0.6656
0.4509 0.7500 0.0972
0.9509 0.7500 0.4028
0.9163 0.2500 0.1656
0.1734 0.7500 0.2463
0.0491 0.2500 0.5972
0.3746 0.7500 0.5329
0.1254 0.2500 0.0329
0.8266 0.2500 0.7537
0.8746 0.7500 0.9671
0.0837 0.7500 0.8344
0.4163 0.2500 0.3344

Stability summary: most stable model one, least stable model two.